[1]
This record from the Materials Project describes an optimized crystal structure of Nb2CuS4. The functional is PBE-GGA.

## Properties
**Formation energy**: -0.940 eV per atom

abc: 3.547 8.295 17.517
angles: 90.00 90.00 90.00
Fractional positions:
1 Nb 0.750 0.873 0.529
2 Nb 0.250 0.127 0.471
3 Nb 0.250 0.627 0.029
4 Nb 0.750 0.373 0.971
5 Nb 0.750 0.560 0.399
6 Nb 0.250 0.440 0.601
7 Nb 0.250 0.940 0.899
8 Nb 0.750 0.060 0.101
9 Cu 0.750 0.689 0.781
10 Cu 0.250 0.311 0.219
11 Cu 0.250 0.811 0.281
12 Cu 0.750 0.189 0.719
13 S 0.750 0.640 0.643
14 S 0.250 0.360 0.357
15 S 0.250 0.860 0.143
16 S 0.750 0.140 0.857
17 S 0.750 0.655 0.277
18 S 0.250 0.345 0.723
19 S 0.250 0.845 0.777
20 S 0.750 0.155 0.223
21 S 0.750 0.992 0.396
22 S 0.250 0.008 0.604
23 S 0.250 0.508 0.896
24 S 0.750 0.492 0.104
25 S 0.750 0.838 0.990
26 S 0.250 0.162 0.010
27 S 0.250 0.662 0.490
28 S 0.750 0.338 0.510

[2]
This record from the Materials Project describes an optimized crystal structure of Nb3Cu2S6. The functional is PBE-GGA.

## Properties
**Formation energy**: -1.099 eV per atom

abc: 3.385 3.385 40.714
angles: 90.00 90.00 120.00
Fractional positions:
1 Nb 0.667 0.333 0.083
2 Nb 0.667 0.333 0.425
3 Nb 0.667 0.333 0.750
4 Nb 0.333 0.667 0.242
5 Nb 0.333 0.667 0.586
6 Nb 0.333 0.667 0.919
7 Cu 0.667 0.333 0.012
8 Cu 0.667 0.333 0.353
9 Cu 0.667 0.333 0.679
10 Cu 0.333 0.667 0.313
11 S 0.667 0.333 0.204
12 S 0.667 0.333 0.549
13 S 0.667 0.333 0.882
14 S 0.333 0.667 0.121
15 S 0.333 0.667 0.463
16 S 0.333 0.667 0.788
17 S 0.333 0.667 0.044
18 S 0.333 0.667 0.386
19 S 0.333 0.667 0.711
20 S 0.667 0.333 0.280
21 S 0.667 0.333 0.625
22 S 0.667 0.333 0.958

[3]
This record from the Materials Project describes an optimized crystal structure of Nb2CuS4. The functional is PBE-GGA.

## Properties
**Formation energy**: -1.203 eV per atom

abc: 3.387 3.387 13.239
angles: 90.00 90.00 120.00
Fractional positions:
1 Nb 0.333 0.667 0.752
2 Nb 0.000 0.000 0.249
3 Cu 0.333 0.667 0.534
4 S 0.333 0.667 0.367
5 S 0.000 0.000 0.630
6 S 0.000 0.000 0.867
7 S 0.333 0.667 0.134

[4]
This record from the Materials Project describes an optimized crystal structure of Nb24Cu5S40. The functional is PBE-GGA.

## Properties
**Formation energy**: -1.280 eV per atom

abc: 13.272 13.272 29.085
angles: 85.73 85.73 14.53
Fractional positions:
1 Nb 0.122 0.122 0.992
2 Nb 0.622 0.622 0.894
3 Nb 0.122 0.122 0.791
4 Nb 0.378 0.378 0.907
5 Nb 0.622 0.622 0.691
6 Nb 0.878 0.878 0.808
7 Nb 0.122 0.122 0.592
8 Nb 0.378 0.378 0.709
9 Nb 0.622 0.622 0.494
10 Nb 0.878 0.878 0.606
11 Nb 0.124 0.124 0.391
12 Nb 0.378 0.378 0.508
13 Nb 0.000 0.000 0.396
14 Nb 0.625 0.625 0.292
15 Nb 0.876 0.876 0.409
16 Nb 0.000 0.000 0.195
17 Nb 0.500 0.500 0.305
18 Nb 0.125 0.125 0.192
19 Nb 0.375 0.375 0.308
20 Nb 0.500 0.500 0.104
21 Nb 0.624 0.624 0.091
22 Nb 0.875 0.875 0.208
23 Nb 0.377 0.377 0.110
24 Nb 0.878 0.878 0.007
25 Cu 0.732 0.732 0.683
26 Cu 0.768 0.768 0.816
27 Cu 0.768 0.768 0.417
28 Cu 0.267 0.267 0.117
29 Cu 0.767 0.767 0.015
30 S 0.316 0.316 0.977
31 S 0.437 0.437 0.970
32 S 0.817 0.817 0.880
33 S 0.938 0.938 0.870
34 S 0.062 0.062 0.929
35 S 0.182 0.182 0.922
36 S 0.316 0.316 0.778
37 S 0.437 0.437 0.771
38 S 0.564 0.564 0.830
39 S 0.683 0.683 0.822
40 S 0.818 0.818 0.678
41 S 0.936 0.936 0.670
42 S 0.063 0.063 0.729
43 S 0.184 0.184 0.722
44 S 0.318 0.318 0.578
45 S 0.438 0.438 0.570
46 S 0.563 0.563 0.629
47 S 0.683 0.683 0.620
48 S 0.816 0.816 0.481
49 S 0.939 0.939 0.470
50 S 0.062 0.062 0.530
51 S 0.183 0.183 0.521
52 S 0.315 0.315 0.378
53 S 0.436 0.436 0.372
54 S 0.561 0.561 0.431
55 S 0.683 0.683 0.421
56 S 0.816 0.816 0.279
57 S 0.938 0.938 0.271
58 S 0.064 0.064 0.329
59 S 0.185 0.185 0.321
60 S 0.315 0.315 0.180
61 S 0.437 0.437 0.171
62 S 0.562 0.562 0.230
63 S 0.684 0.684 0.221
64 S 0.816 0.816 0.079
65 S 0.939 0.939 0.069
66 S 0.064 0.064 0.128
67 S 0.184 0.184 0.121
68 S 0.561 0.561 0.030
69 S 0.683 0.683 0.020

[5]
This record from the Materials Project describes an optimized crystal structure of NbCuSe2. The functional is PBE-GGA.

## Properties
**Formation energy**: -0.810 eV per atom

abc: 3.577 3.577 13.922
angles: 90.00 90.00 120.00
Fractional positions:
1 Nb 0.333 0.667 0.247
2 Nb 0.667 0.333 0.747
3 Cu 0.333 0.667 0.461
4 Cu 0.667 0.333 0.961
5 Se 0.333 0.667 0.868
6 Se 0.667 0.333 0.130
7 Se 0.667 0.333 0.368
8 Se 0.333 0.667 0.630

[6]
This record from the Materials Project describes an optimized crystal structure of Nb3Cu2Se6. The functional is PBE-GGA.

## Properties
**Formation energy**: -0.955 eV per atom

abc: 3.538 9.342 13.879
angles: 90.00 90.00 79.22
Fractional positions:
1 Nb 0.445 0.110 0.249
2 Nb 0.775 0.448 0.250
3 Nb 0.110 0.778 0.250
4 Nb 0.889 0.223 0.749
5 Nb 0.223 0.556 0.750
6 Nb 0.558 0.885 0.750
7 Cu 0.445 0.109 0.040
8 Cu 0.221 0.558 0.960
9 Cu 0.888 0.225 0.540
10 Cu 0.112 0.775 0.460
11 Se 0.448 0.103 0.630
12 Se 0.773 0.452 0.629
13 Se 0.111 0.777 0.630
14 Se 0.889 0.223 0.369
15 Se 0.226 0.549 0.371
16 Se 0.552 0.897 0.371
17 Se 0.885 0.230 0.130
18 Se 0.222 0.556 0.130
19 Se 0.560 0.881 0.129
20 Se 0.444 0.110 0.869
21 Se 0.781 0.437 0.871
22 Se 0.107 0.785 0.871

[7]
This record from the Materials Project describes an optimized crystal structure of Nb4CuSe8. The functional is PBE-GGA.

## Properties
**Formation energy**: -1.070 eV per atom

abc: 13.560 13.560 6.072
angles: 77.24 77.24 14.87
Fractional positions:
1 Nb 0.375 0.375 0.636
2 Nb 0.876 0.876 0.115
3 Nb 0.625 0.625 0.364
4 Nb 0.124 0.124 0.885
5 Cu 0.000 0.000 0.000
6 Se 0.941 0.941 0.720
7 Se 0.439 0.439 0.235
8 Se 0.561 0.561 0.765
9 Se 0.059 0.059 0.280
10 Se 0.687 0.687 0.645
11 Se 0.190 0.190 0.143
12 Se 0.810 0.810 0.857
13 Se 0.313 0.313 0.355

[8]
This record from the Materials Project describes an optimized crystal structure of Nb2CuSe4. The functional is PBE-GGA.

## Properties
**Formation energy**: -0.973 eV per atom

abc: 3.539 3.539 13.909
angles: 90.00 90.00 120.00
Fractional positions:
1 Nb 0.000 0.000 0.254
2 Nb 0.667 0.333 0.749
3 Cu 0.000 0.000 0.037
4 Se 0.000 0.000 0.632
5 Se 0.667 0.333 0.372
6 Se 0.667 0.333 0.132
7 Se 0.000 0.000 0.869